Computed, not measured: crystalline BaFe2O4 at its relaxed geometry at the PBE with a Hubbard U level of DFT.

Computed properties:
Energy above the lowest structure with this stoichiometry: 729 meV/atom

CIF file:
```
data_BaFe2O4
_chemical_formula_sum 'Ba16 Fe32 O64'
_cell_length_a 11.064
_cell_length_b 17.650
_cell_length_c 9.583
_cell_angle_alpha 90.00
_cell_angle_beta 90.00
_cell_angle_gamma 90.00
_space_group_name_H-M_alt 'P n m a'
_space_group_IT_number 62
_space_group_name_Hall '-P 2ac 2n'
loop_
_atom_site_label
_atom_site_fract_x
_atom_site_fract_y
_atom_site_fract_z
Ba1 0.116 0.250 0.239
Ba2 0.118 0.512 0.280
Ba3 0.144 0.750 0.222
Fe1 0.109 0.114 0.909
Fe2 0.118 0.148 0.569
Fe3 0.133 0.594 0.911
Fe4 0.137 0.648 0.590
O1 0.014 0.098 0.440
O2 0.015 0.147 0.065
O3 0.035 0.151 0.742
O4 0.097 0.009 0.874
O5 0.102 0.750 0.627
O6 0.162 0.250 0.521
O7 0.225 0.641 0.419
O8 0.227 0.601 0.079
O9 0.230 0.618 0.750
```

Computed, not measured: crystalline BaFe2P2O8 at its relaxed geometry at the PBE with a Hubbard U level of DFT.

Computed properties:
Energy above the lowest structure with this stoichiometry: 0 meV/atom

CIF file:
```
data_BaFe2P2O8
_chemical_formula_sum 'Ba2 Fe4 P4 O16'
_cell_length_a 4.947
_cell_length_b 8.462
_cell_length_c 8.560
_cell_angle_alpha 70.32
_cell_angle_beta 89.97
_cell_angle_gamma 89.85
_space_group_name_H-M_alt 'P 1'
_space_group_IT_number 1
_space_group_name_Hall 'P 1'
loop_
_atom_site_label
_atom_site_fract_x
_atom_site_fract_y
_atom_site_fract_z
Ba1 0.000 0.000 0.000
Ba2 0.499 0.001 0.499
Fe1 0.000 0.490 0.167
Fe2 0.001 0.511 0.825
Fe3 0.499 0.511 0.332
Fe4 0.500 0.490 0.674
P1 0.000 0.725 0.423
P2 0.500 0.276 0.076
P3 0.501 0.725 0.926
P4 0.998 0.276 0.573
O1 0.140 0.341 0.705
O2 0.157 0.340 0.405
O3 0.200 0.341 0.047
O4 0.300 0.660 0.452
O5 0.344 0.661 0.094
O6 0.358 0.661 0.794
O7 0.500 0.084 0.138
O8 0.502 0.917 0.861
O9 0.638 0.340 0.207
O10 0.660 0.341 0.907
O11 0.699 0.342 0.545
O12 0.801 0.659 0.953
O13 0.838 0.660 0.591
O14 0.862 0.660 0.291
O15 0.998 0.084 0.639
O16 0.999 0.917 0.361
```

Computed, not measured: crystalline Ba2Fe3P4O18 at its relaxed geometry at the PBE with a Hubbard U level of DFT.

CIF file:
```
data_Ba2Fe3P4O18
_chemical_formula_sum 'Ba8 Fe12 P16 O72'
_cell_length_a 6.674
_cell_length_b 10.700
_cell_length_c 22.004
_cell_angle_alpha 90.00
_cell_angle_beta 90.00
_cell_angle_gamma 90.00
_space_group_name_H-M_alt 'P b c a'
_space_group_IT_number 61
_space_group_name_Hall '-P 2ac 2ab'
loop_
_atom_site_label
_atom_site_fract_x
_atom_site_fract_y
_atom_site_fract_z
Ba1 0.110 0.004 0.176
Fe1 0.000 0.000 0.500
Fe2 0.249 0.750 0.417
P1 0.104 0.000 0.355
P2 0.248 0.749 0.543
O1 0.007 0.501 0.206
O2 0.045 0.000 0.591
O3 0.062 0.719 0.581
O4 0.066 0.220 0.082
O5 0.207 0.641 0.996
O6 0.210 0.140 0.496
O7 0.233 0.748 0.710
O8 0.246 0.615 0.859
O9 0.247 0.114 0.359
```

Computed, not measured: crystalline BaFe2P2O8 at its relaxed geometry at the PBE with a Hubbard U level of DFT.

Computed properties:
Energy above the lowest structure with this stoichiometry: 8 meV/atom

CIF file:
```
data_BaFe2P2O8
_chemical_formula_sum 'Ba1 Fe2 P2 O8'
_cell_length_a 4.827
_cell_length_b 4.923
_cell_length_c 8.476
_cell_angle_alpha 74.33
_cell_angle_beta 75.18
_cell_angle_gamma 60.68
_space_group_name_H-M_alt 'P -1'
_space_group_IT_number 2
_space_group_name_Hall '-P 1'
loop_
_atom_site_label
_atom_site_fract_x
_atom_site_fract_y
_atom_site_fract_z
Ba1 0.000 0.000 0.000
Fe1 0.180 0.144 0.493
P1 0.421 0.428 0.723
O1 0.148 0.442 0.649
O2 0.250 0.847 0.336
O3 0.355 0.364 0.913
O4 0.436 0.751 0.664
```

Computed, not measured: crystalline BaFe3P3O12 at its relaxed geometry at the PBE with a Hubbard U level of DFT.

CIF file:
```
data_BaFe3P3O12
_chemical_formula_sum 'Ba4 Fe12 P12 O48'
_cell_length_a 10.688
_cell_length_b 13.646
_cell_length_c 6.723
_cell_angle_alpha 90.00
_cell_angle_beta 90.00
_cell_angle_gamma 90.00
_space_group_name_H-M_alt 'I m m a'
_space_group_IT_number 74
_space_group_name_Hall '-I 2b 2'
loop_
_atom_site_label
_atom_site_fract_x
_atom_site_fract_y
_atom_site_fract_z
Ba1 0.000 0.250 0.109
Fe1 0.000 0.000 0.500
Fe2 0.250 0.132 0.750
P1 0.000 0.250 0.604
P2 0.250 0.072 0.250
O1 0.000 0.156 0.474
O2 0.117 0.250 0.742
O3 0.138 0.001 0.706
O4 0.216 0.134 0.067
```

Computed, not measured: crystalline BaFe2P2O8 at its relaxed geometry at the PBE with a Hubbard U level of DFT.

Computed properties:
Energy above the lowest structure with this stoichiometry: 0 meV/atom

CIF file:
```
data_BaFe2P2O8
_chemical_formula_sum 'Ba2 Fe4 P4 O16'
_cell_length_a 4.944
_cell_length_b 4.946
_cell_length_c 16.192
_cell_angle_alpha 81.49
_cell_angle_beta 81.73
_cell_angle_gamma 60.02
_space_group_name_H-M_alt 'P 1'
_space_group_IT_number 1
_space_group_name_Hall 'P 1'
loop_
_atom_site_label
_atom_site_fract_x
_atom_site_fract_y
_atom_site_fract_z
Ba1 0.000 0.000 0.000
Ba2 0.488 0.520 0.500
Fe1 0.087 0.093 0.745
Fe2 0.399 0.432 0.755
Fe3 0.578 0.587 0.245
Fe4 0.915 0.926 0.255
P1 0.201 0.230 0.362
P2 0.283 0.291 0.138
P3 0.708 0.716 0.862
P4 0.780 0.801 0.638
O1 0.012 0.740 0.830
O2 0.077 0.493 0.668
O3 0.170 0.201 0.458
O4 0.222 0.934 0.330
O5 0.255 0.591 0.169
O6 0.325 0.312 0.042
O7 0.411 0.022 0.830
O8 0.479 0.772 0.669
O9 0.505 0.254 0.330
O10 0.574 0.988 0.174
O11 0.679 0.680 0.958
O12 0.731 0.423 0.828
O13 0.758 0.092 0.673
O14 0.808 0.844 0.542
O15 0.906 0.533 0.329
O16 0.976 0.273 0.168
```

Computed, not measured: crystalline Ba3Fe4P8PbO28 at its relaxed geometry at the PBE with a Hubbard U level of DFT.

CIF file:
```
data_Ba3Fe4P8PbO28
_chemical_formula_sum 'Ba3 Fe4 P8 Pb1 O28'
_cell_length_a 5.591
_cell_length_b 8.535
_cell_length_c 13.011
_cell_angle_alpha 89.55
_cell_angle_beta 89.07
_cell_angle_gamma 89.94
_space_group_name_H-M_alt 'P 1'
_space_group_IT_number 1
_space_group_name_Hall 'P 1'
loop_
_atom_site_label
_atom_site_fract_x
_atom_site_fract_y
_atom_site_fract_z
Ba1 0.000 0.000 0.000
Ba2 0.061 0.500 0.064
Ba3 0.560 0.288 0.564
Fe1 0.096 0.487 0.392
Fe2 0.465 0.800 0.175
Fe3 0.593 0.300 0.892
Fe4 0.965 0.986 0.674
P1 0.023 0.599 0.620
P2 0.037 0.091 0.443
P3 0.092 0.335 0.766
P4 0.468 0.952 0.798
P5 0.524 0.191 0.123
P6 0.537 0.691 0.942
P7 0.593 0.452 0.267
P8 0.968 0.834 0.300
Pb1 0.494 0.794 0.500
O1 0.017 0.016 0.329
O2 0.039 0.516 0.733
O3 0.080 0.818 0.192
O4 0.092 0.771 0.636
O5 0.099 0.732 0.381
O6 0.196 0.976 0.801
O7 0.214 0.521 0.550
O8 0.272 0.220 0.084
O9 0.290 0.058 0.481
O10 0.346 0.768 0.014
O11 0.364 0.312 0.764
O12 0.470 0.556 0.185
O13 0.476 0.466 0.374
O14 0.476 0.518 0.928
O15 0.518 0.771 0.829
O16 0.543 0.271 0.235
O17 0.584 0.017 0.138
O18 0.584 0.968 0.690
O19 0.591 0.054 0.879
O20 0.695 0.810 0.305
O21 0.715 0.266 0.051
O22 0.769 0.576 0.582
O23 0.789 0.720 0.980
O24 0.843 0.015 0.513
O25 0.865 0.475 0.264
O26 0.971 0.231 0.685
O27 0.975 0.320 0.873
O28 0.983 0.266 0.430
```

What did we get for ΔH_f (0 K)? Answer: -1361, -2636, -2381, -2628, -2563, -2635, -2714 meV/atom, in the order shown.